No. 1
VASP calculation (PBE-GGA) on Na4Hf2Al2Si3S3O24 after structural relaxation.

Cell and atoms, written as CIF:
```
data_Na4Hf2Al2Si3S3O24
_space_group_name_H-M_alt 'P 1'
_space_group_IT_number 1
_space_group_name_Hall 'P 1'
_cell_length_a 8.838
_cell_length_b 8.844
_cell_length_c 22.471
_cell_angle_alpha 88.54
_cell_angle_beta 89.75
_cell_angle_gamma 60.09
loop_
_atom_site_label
_atom_site_type_symbol
_atom_site_fract_x
_atom_site_fract_y
_atom_site_fract_z
Na1 Na 0.000 0.000 0.000
Na2 Na 0.004 0.679 0.595
Na3 Na 0.282 0.684 0.089
Na4 Na 0.300 0.349 0.174
Na5 Na 0.313 0.348 0.666
Na6 Na 0.331 0.016 0.260
Na7 Na 0.622 0.013 0.746
Na8 Na 0.633 0.678 0.338
Na9 Na 0.650 0.668 0.827
Na10 Na 0.673 0.350 0.909
Na11 Na 0.953 0.338 0.429
Na12 Na 0.976 0.024 0.507
Hf1 Hf 0.308 0.350 0.320
Hf2 Hf 0.310 0.362 0.817
Hf3 Hf 0.632 0.688 0.987
Hf4 Hf 0.641 0.687 0.490
Hf5 Hf 0.968 0.022 0.652
Hf6 Hf 0.991 0.016 0.156
Al1 Al 0.013 0.016 0.355
Al2 Al 0.304 0.345 0.024
Al3 Al 0.314 0.297 0.531
Al4 Al 0.633 0.693 0.200
Al5 Al 0.689 0.656 0.692
Al6 Al 0.989 0.989 0.850
Si1 Si 0.277 0.721 0.257
Si2 Si 0.292 0.645 0.926
Si3 Si 0.309 0.049 0.423
Si4 Si 0.362 0.984 0.093
Si5 Si 0.636 0.970 0.595
Si6 Si 0.703 0.308 0.761
Si7 Si 0.945 0.388 0.587
Si8 Si 0.961 0.321 0.258
Si9 Si 0.971 0.725 0.755
S1 S 0.024 0.648 0.424
S2 S 0.027 0.341 0.927
S3 S 0.269 0.007 0.760
S4 S 0.361 0.672 0.593
S5 S 0.601 0.062 0.926
S6 S 0.604 0.337 0.426
S7 S 0.641 0.389 0.091
S8 S 0.697 0.007 0.258
S9 S 0.936 0.674 0.091
O1 O 0.002 0.189 0.926
O2 O 0.007 0.185 0.202
O3 O 0.015 0.800 0.695
O4 O 0.106 0.364 0.873
O5 O 0.112 0.532 0.372
O6 O 0.117 0.520 0.087
O7 O 0.126 0.570 0.478
O8 O 0.126 0.839 0.913
O9 O 0.128 0.040 0.417
O10 O 0.131 0.386 0.580
O11 O 0.134 0.323 0.981
O12 O 0.137 0.526 0.762
O13 O 0.145 0.327 0.262
O14 O 0.162 0.798 0.194
O15 O 0.165 0.041 0.706
O16 O 0.168 0.994 0.094
O17 O 0.175 0.854 0.310
O18 O 0.179 0.990 0.814
O19 O 0.184 0.832 0.595
O20 O 0.275 0.181 0.477
O21 O 0.278 0.544 0.987
O22 O 0.294 0.162 0.767
O23 O 0.309 0.525 0.262
O24 O 0.336 0.521 0.585
O25 O 0.337 0.135 0.361
O26 O 0.339 0.176 0.079
O27 O 0.342 0.510 0.872
O28 O 0.438 0.701 0.537
O29 O 0.442 0.852 0.757
O30 O 0.451 0.850 0.036
O31 O 0.462 0.719 0.250
O32 O 0.468 0.650 0.645
O33 O 0.471 0.163 0.585
O34 O 0.478 0.380 0.084
O35 O 0.479 0.653 0.932
O36 O 0.480 0.854 0.427
O37 O 0.482 0.881 0.151
O38 O 0.499 0.365 0.370
O39 O 0.500 0.130 0.871
O40 O 0.505 0.173 0.977
O41 O 0.510 0.327 0.479
O42 O 0.512 0.312 0.767
O43 O 0.516 0.164 0.261
O44 O 0.615 0.873 0.654
O45 O 0.619 0.500 0.141
O46 O 0.631 0.492 0.427
O47 O 0.632 0.881 0.933
O48 O 0.671 0.502 0.747
O49 O 0.671 0.848 0.537
O50 O 0.673 0.463 0.034
O51 O 0.675 0.852 0.253
O52 O 0.772 0.053 0.923
O53 O 0.773 0.034 0.203
O54 O 0.777 0.178 0.421
O55 O 0.787 0.178 0.705
O56 O 0.791 0.210 0.096
O57 O 0.794 0.714 0.751
O58 O 0.797 0.511 0.243
O59 O 0.802 0.987 0.311
O60 O 0.817 0.983 0.596
O61 O 0.820 0.210 0.822
O62 O 0.833 0.464 0.525
O63 O 0.837 0.690 0.036
O64 O 0.849 0.502 0.932
O65 O 0.850 0.654 0.426
O66 O 0.851 0.515 0.642
O67 O 0.851 0.654 0.144
O68 O 0.939 0.226 0.318
O69 O 0.941 0.849 0.812
O70 O 0.953 0.835 0.092
O71 O 0.981 0.190 0.594
O72 O 0.997 0.824 0.412
```

Properties
* formation enthalpy at 0 K: -2.781 eV per atom
* total magnetic moment: 0.0 Bohr magnetons per cell

No. 2
VASP calculation (PBE-GGA) on Na7Mg2Ti2SiP5O24 after structural relaxation.

Cell and atoms, written as CIF:
```
data_Na7Mg2Ti2SiP5O24
_space_group_name_H-M_alt 'P 1'
_space_group_IT_number 1
_space_group_name_Hall 'P 1'
_cell_length_a 8.927
_cell_length_b 8.930
_cell_length_c 21.952
_cell_angle_alpha 89.91
_cell_angle_beta 89.91
_cell_angle_gamma 60.05
loop_
_atom_site_label
_atom_site_type_symbol
_atom_site_fract_x
_atom_site_fract_y
_atom_site_fract_z
Na1 Na 0.000 0.000 0.000
Na2 Na 0.000 0.347 0.501
Na3 Na 0.023 0.667 0.088
Na4 Na 0.034 0.658 0.586
Na5 Na 0.046 0.280 0.838
Na6 Na 0.063 0.950 0.667
Na7 Na 0.066 0.327 0.169
Na8 Na 0.334 0.326 0.669
Na9 Na 0.335 0.682 0.169
Na10 Na 0.370 0.974 0.754
Na11 Na 0.370 0.984 0.253
Na12 Na 0.377 0.349 0.002
Na13 Na 0.384 0.617 0.499
Na14 Na 0.399 0.286 0.335
Na15 Na 0.665 0.665 0.337
Na16 Na 0.670 0.014 0.835
Na17 Na 0.700 0.332 0.918
Na18 Na 0.715 0.315 0.419
Na19 Na 0.715 0.681 0.669
Na20 Na 0.731 0.615 0.002
Na21 Na 0.734 0.996 0.504
Mg1 Mg 0.032 0.659 0.231
Mg2 Mg 0.036 0.656 0.732
Mg3 Mg 0.366 0.985 0.397
Mg4 Mg 0.369 0.981 0.898
Mg5 Mg 0.706 0.319 0.066
Mg6 Mg 0.706 0.320 0.565
Ti1 Ti 0.030 0.660 0.433
Ti2 Ti 0.041 0.647 0.934
Ti3 Ti 0.371 0.994 0.100
Ti4 Ti 0.382 0.983 0.600
Ti5 Ti 0.698 0.319 0.767
Ti6 Ti 0.709 0.315 0.267
Si1 Si 0.075 0.282 0.996
Si2 Si 0.667 0.690 0.495
Si3 Si 0.704 0.025 0.663
P1 P 0.036 0.361 0.331
P2 P 0.038 0.946 0.831
P3 P 0.082 0.985 0.499
P4 P 0.330 0.653 0.330
P5 P 0.333 0.363 0.831
P6 P 0.368 0.281 0.497
P7 P 0.368 0.698 0.000
P8 P 0.413 0.612 0.664
P9 P 0.415 0.315 0.165
P10 P 0.663 0.986 0.997
P11 P 0.702 0.615 0.165
P12 P 0.743 0.651 0.831
P13 P 0.746 0.949 0.331
P14 P 0.997 0.026 0.164
P15 P 0.998 0.317 0.666
O1 O 0.005 0.485 0.388
O2 O 0.010 0.854 0.888
O3 O 0.027 0.472 0.673
O4 O 0.029 0.843 0.172
O5 O 0.053 0.846 0.773
O6 O 0.062 0.443 0.274
O7 O 0.065 0.475 0.993
O8 O 0.072 0.813 0.494
O9 O 0.163 0.167 0.938
O10 O 0.166 0.017 0.445
O11 O 0.176 0.147 0.663
O12 O 0.178 0.019 0.163
O13 O 0.192 0.976 0.836
O14 O 0.196 0.184 0.339
O15 O 0.196 0.955 0.558
O16 O 0.197 0.689 0.994
O17 O 0.200 0.463 0.494
O18 O 0.208 0.184 0.057
O19 O 0.223 0.446 0.775
O20 O 0.229 0.667 0.273
O21 O 0.232 0.473 0.171
O22 O 0.233 0.634 0.673
O23 O 0.238 0.478 0.889
O24 O 0.238 0.626 0.388
O25 O 0.338 0.191 0.555
O26 O 0.338 0.814 0.058
O27 O 0.359 0.180 0.837
O28 O 0.360 0.806 0.335
O29 O 0.394 0.172 0.441
O30 O 0.398 0.148 0.162
O31 O 0.399 0.794 0.662
O32 O 0.405 0.778 0.945
O33 O 0.491 0.507 0.607
O34 O 0.496 0.343 0.108
O35 O 0.514 0.480 0.328
O36 O 0.515 0.349 0.829
O37 O 0.520 0.017 0.661
O38 O 0.520 0.513 0.007
O39 O 0.526 0.304 0.504
O40 O 0.529 0.295 0.223
O41 O 0.531 0.793 0.162
O42 O 0.538 0.518 0.720
O43 O 0.551 0.778 0.437
O44 O 0.557 0.013 0.940
O45 O 0.563 0.977 0.338
O46 O 0.567 0.813 0.840
O47 O 0.569 0.822 0.557
O48 O 0.569 0.954 0.053
O49 O 0.671 0.157 0.724
O50 O 0.676 0.519 0.222
O51 O 0.684 0.144 0.006
O52 O 0.696 0.499 0.504
O53 O 0.727 0.507 0.109
O54 O 0.730 0.132 0.327
O55 O 0.732 0.112 0.605
O56 O 0.738 0.480 0.829
O57 O 0.827 0.676 0.775
O58 O 0.833 0.830 0.278
O59 O 0.845 0.818 0.995
O60 O 0.859 0.681 0.493
O61 O 0.859 0.860 0.391
O62 O 0.864 0.353 0.327
O63 O 0.864 0.631 0.173
O64 O 0.866 0.130 0.829
O65 O 0.866 0.833 0.671
O66 O 0.867 0.625 0.889
O67 O 0.883 0.312 0.004
O68 O 0.888 0.350 0.609
O69 O 0.897 0.107 0.106
O70 O 0.897 0.152 0.219
O71 O 0.899 0.139 0.505
O72 O 0.903 0.292 0.723
```

Properties
* formation enthalpy at 0 K: -2.859 eV per atom
* total magnetic moment: 0.0 Bohr magnetons per cell